Pr3GaO6 after structural relaxation. Source: the Materials Project, functional meta-GGA r2SCAN.

CIF file:
```
data_Pr3GaO6
_chemical_formula_sum 'Pr12 Ga4 O24'
_symmetry_space_group_name_H-M 'C m c 21'
_symmetry_Int_Tables_number 36
_symmetry_space_group_name_Hall 'C 2c -2'
_cell_length_a 9.301
_cell_length_b 11.654
_cell_length_c 5.645
_cell_angle_alpha 90.00
_cell_angle_beta 90.00
_cell_angle_gamma 90.00
loop_
_atom_site_label
_atom_site_type_symbol
_atom_site_fract_x
_atom_site_fract_y
_atom_site_fract_z
_atom_site_occupancy
Pr1 Pr 0.000 0.104 0.000 1
Pr2 Pr 0.193 0.394 0.043 1
Ga1 Ga 0.000 0.308 0.578 1
O1 O 0.000 0.285 0.254 1
O2 O 0.000 0.457 0.706 1
O3 O 0.153 0.240 0.743 1
O4 O 0.159 0.013 0.273 1
```

Output
Energy of formation from the pure elements in meV per atom: -3285
E in eV per cell: -673.3

---

PuCo2Si2 after structural relaxation. Source: the Materials Project, functional meta-GGA r2SCAN.

CIF file:
```
data_PuCo2Si2
_chemical_formula_sum 'Pu2 Co4 Si4'
_symmetry_space_group_name_H-M 'I 4/m m m'
_symmetry_Int_Tables_number 139
_symmetry_space_group_name_Hall '-I 4 2'
_cell_length_a 3.852
_cell_length_b 3.852
_cell_length_c 9.821
_cell_angle_alpha 90.00
_cell_angle_beta 90.00
_cell_angle_gamma 90.00
loop_
_atom_site_label
_atom_site_type_symbol
_atom_site_fract_x
_atom_site_fract_y
_atom_site_fract_z
_atom_site_occupancy
Pu1 Pu 0.000 0.000 0.000 1
Co1 Co 0.000 0.500 0.250 1
Si1 Si 0.000 0.000 0.370 1
```

Output
Energy of formation from the pure elements in meV per atom: -657
E in eV per cell: -267.3

---

Nd2SO2 after structural relaxation. Source: the Materials Project, functional meta-GGA r2SCAN.

CIF file:
```
data_Nd2SO2
_chemical_formula_sum 'Nd2 S1 O2'
_symmetry_space_group_name_H-M 'P -3 m 1'
_symmetry_Int_Tables_number 164
_symmetry_space_group_name_Hall '-P 3 2"'
_cell_length_a 3.9687
_cell_length_b 3.9687
_cell_length_c 6.8277
_cell_angle_alpha 90.00
_cell_angle_beta 90.00
_cell_angle_gamma 120.00
loop_
_atom_site_label
_atom_site_type_symbol
_atom_site_fract_x
_atom_site_fract_y
_atom_site_fract_z
_atom_site_occupancy
Nd1 Nd 0.3333 0.6667 0.2808 1
S1 S 0.0000 0.0000 0.0000 1
O1 O 0.3333 0.6667 0.6291 1
```

Output
Energy of formation from the pure elements in meV per atom: -3402
E in eV per cell: -95.8

---

SnS16I4 after structural relaxation. Source: the Materials Project, functional meta-GGA r2SCAN.

CIF file:
```
data_SnS16I4
_chemical_formula_sum 'Sn2 S32 I8'
_symmetry_space_group_name_H-M 'P 1'
_symmetry_Int_Tables_number 1
_symmetry_space_group_name_Hall 'P 1'
_cell_length_a 11.706
_cell_length_b 12.273
_cell_length_c 12.571
_cell_angle_alpha 77.26
_cell_angle_beta 62.28
_cell_angle_gamma 61.55
loop_
_atom_site_label
_atom_site_type_symbol
_atom_site_fract_x
_atom_site_fract_y
_atom_site_fract_z
_atom_site_occupancy
Sn1 Sn 0.000 0.000 0.000 1
Sn2 Sn 0.251 0.499 0.500 1
S1 S 0.068 0.324 0.989 1
S2 S 0.167 0.515 0.202 1
S3 S 0.263 0.209 0.992 1
S4 S 0.307 0.825 0.511 1
S5 S 0.324 0.861 0.339 1
S6 S 0.333 0.028 0.286 1
S7 S 0.333 0.344 0.142 1
S8 S 0.365 0.314 0.975 1
S9 S 0.381 0.675 0.011 1
S10 S 0.436 0.638 0.838 1
S11 S 0.465 0.790 0.008 1
S12 S 0.505 0.710 0.508 1
S13 S 0.524 0.138 0.662 1
S14 S 0.544 0.995 0.188 1
S15 S 0.590 0.814 0.525 1
S16 S 0.612 0.471 0.786 1
S17 S 0.619 0.015 0.298 1
S18 S 0.642 0.175 0.489 1
S19 S 0.648 0.971 0.713 1
S20 S 0.654 0.686 0.025 1
S21 S 0.722 0.290 0.492 1
S22 S 0.725 0.844 0.357 1
S23 S 0.728 0.004 0.811 1
S24 S 0.789 0.504 0.688 1
S25 S 0.819 0.656 0.857 1
S26 S 0.870 0.528 0.214 1
S27 S 0.884 0.485 0.798 1
S28 S 0.913 0.361 0.162 1
S29 S 0.927 0.156 0.643 1
S30 S 0.928 0.187 0.475 1
S31 S 0.932 0.985 0.702 1
S32 S 0.982 0.495 0.312 1
I1 I 0.018 0.705 0.501 1
I2 I 0.034 0.999 0.198 1
I3 I 0.225 0.293 0.498 1
I4 I 0.229 0.001 0.801 1
I5 I 0.282 0.501 0.698 1
I6 I 0.482 0.498 0.301 1
I7 I 0.768 0.205 0.000 1
I8 I 0.973 0.794 0.001 1
```

Output
Energy of formation from the pure elements in meV per atom: -106
E in eV per cell: -507.5

---

CaMnF5 after structural relaxation. Source: the Materials Project, functional meta-GGA r2SCAN.

CIF file:
```
data_CaMnF5
_chemical_formula_sum 'Ca4 Mn4 F20'
_symmetry_space_group_name_H-M 'C 1 2/c 1'
_symmetry_Int_Tables_number 15
_symmetry_space_group_name_Hall '-C 2yc'
_cell_length_a 8.990
_cell_length_b 6.429
_cell_length_c 7.788
_cell_angle_alpha 90.00
_cell_angle_beta 115.84
_cell_angle_gamma 90.00
loop_
_atom_site_label
_atom_site_type_symbol
_atom_site_fract_x
_atom_site_fract_y
_atom_site_fract_z
_atom_site_occupancy
Ca1 Ca 0.000 0.045 0.250 1
Mn1 Mn 0.000 0.500 0.000 1
F1 F 0.000 0.407 0.250 1
F2 F 0.011 0.202 0.969 1
F3 F 0.224 0.484 0.616 1
```

Output
Energy of formation from the pure elements in meV per atom: -3425
E in eV per cell: -245.3

---

Pu2US5 after structural relaxation. Source: the Materials Project, functional meta-GGA r2SCAN.

CIF file:
```
data_Pu2US5
_chemical_formula_sum 'Pu8 U4 S20'
_symmetry_space_group_name_H-M 'P n m a'
_symmetry_Int_Tables_number 62
_symmetry_space_group_name_Hall '-P 2ac 2n'
_cell_length_a 11.812
_cell_length_b 8.055
_cell_length_c 7.450
_cell_angle_alpha 90.00
_cell_angle_beta 90.00
_cell_angle_gamma 90.00
loop_
_atom_site_label
_atom_site_type_symbol
_atom_site_fract_x
_atom_site_fract_y
_atom_site_fract_z
_atom_site_occupancy
Pu1 Pu 0.176 0.003 0.023 1
U1 U 0.010 0.250 0.574 1
S1 S 0.001 0.250 0.960 1
S2 S 0.098 0.543 0.663 1
S3 S 0.187 0.250 0.331 1
S4 S 0.215 0.750 0.299 1
```

Output
Energy of formation from the pure elements in meV per atom: -2057
E in eV per cell: -1237.1

---

CeSi3Os after structural relaxation. Source: the Materials Project, functional meta-GGA r2SCAN.

CIF file:
```
data_CeSi3Os
_chemical_formula_sum 'Ce2 Si6 Os2'
_symmetry_space_group_name_H-M 'I 4 m m'
_symmetry_Int_Tables_number 107
_symmetry_space_group_name_Hall 'I 4 -2'
_cell_length_a 4.213
_cell_length_b 4.213
_cell_length_c 9.991
_cell_angle_alpha 90.00
_cell_angle_beta 90.00
_cell_angle_gamma 90.00
loop_
_atom_site_label
_atom_site_type_symbol
_atom_site_fract_x
_atom_site_fract_y
_atom_site_fract_z
_atom_site_occupancy
Ce1 Ce 0.000 0.000 0.000 1
Si1 Si 0.000 0.000 0.427 1
Si2 Si 0.000 0.500 0.269 1
Os1 Os 0.000 0.000 0.661 1
```

Output
Energy of formation from the pure elements in meV per atom: -690
E in eV per cell: -227.2

---

Na2As4O11 after structural relaxation. Source: the Materials Project, functional meta-GGA r2SCAN.

CIF file:
```
data_Na2As4O11
_chemical_formula_sum 'Na8 As16 O44'
_symmetry_space_group_name_H-M 'C 1 2/c 1'
_symmetry_Int_Tables_number 15
_symmetry_space_group_name_Hall '-C 2yc'
_cell_length_a 9.049
_cell_length_b 8.305
_cell_length_c 11.552
_cell_angle_alpha 90.00
_cell_angle_beta 102.56
_cell_angle_gamma 90.00
loop_
_atom_site_label
_atom_site_type_symbol
_atom_site_fract_x
_atom_site_fract_y
_atom_site_fract_z
_atom_site_occupancy
Na1 Na 0.139 0.099 0.466 1
As1 As 0.043 0.457 0.618 1
As2 As 0.245 0.211 0.167 1
O1 O 0.000 0.460 0.250 1
O2 O 0.081 0.396 0.474 1
O3 O 0.101 0.300 0.899 1
O4 O 0.110 0.080 0.117 1
O5 O 0.183 0.300 0.681 1
O6 O 0.214 0.412 0.141 1
```

Output
Energy of formation from the pure elements in meV per atom: -1487
E in eV per cell: -627.7

---

SmPd after structural relaxation. Source: the Materials Project, functional meta-GGA r2SCAN.

CIF file:
```
data_SmPd
_chemical_formula_sum 'Sm4 Pd4'
_symmetry_space_group_name_H-M 'C m c m'
_symmetry_Int_Tables_number 63
_symmetry_space_group_name_Hall '-C 2c 2'
_cell_length_a 3.803
_cell_length_b 10.693
_cell_length_c 4.610
_cell_angle_alpha 90.00
_cell_angle_beta 90.00
_cell_angle_gamma 90.00
loop_
_atom_site_label
_atom_site_type_symbol
_atom_site_fract_x
_atom_site_fract_y
_atom_site_fract_z
_atom_site_occupancy
Sm1 Sm 0.000 0.137 0.250 1
Pd1 Pd 0.000 0.414 0.250 1
```

Output
Energy of formation from the pure elements in meV per atom: -884
E in eV per cell: -217.8

---

Na3ZrF8 after structural relaxation. Source: the Materials Project, functional meta-GGA r2SCAN.

CIF file:
```
data_Na3ZrF8
_chemical_formula_sum 'Na6 Zr2 F16'
_symmetry_space_group_name_H-M 'I 4/m m m'
_symmetry_Int_Tables_number 139
_symmetry_space_group_name_Hall '-I 4 2'
_cell_length_a 5.271
_cell_length_b 5.271
_cell_length_c 10.664
_cell_angle_alpha 90.00
_cell_angle_beta 90.00
_cell_angle_gamma 90.00
loop_
_atom_site_label
_atom_site_type_symbol
_atom_site_fract_x
_atom_site_fract_y
_atom_site_fract_z
_atom_site_occupancy
Na1 Na 0.000 0.000 0.000 1
Na2 Na 0.000 0.500 0.250 1
Zr1 Zr 0.000 0.000 0.500 1
F1 F 0.231 0.231 0.384 1
```

Output
Energy of formation from the pure elements in meV per atom: -3160
E in eV per cell: -192.7

---

AlV12Si3 after structural relaxation. Source: the Materials Project, functional meta-GGA r2SCAN.

CIF file:
```
data_AlV12Si3
_chemical_formula_sum 'Al1 V12 Si3'
_symmetry_space_group_name_H-M 'P m m m'
_symmetry_Int_Tables_number 47
_symmetry_space_group_name_Hall '-P 2 2'
_cell_length_a 4.704
_cell_length_b 4.712
_cell_length_c 9.414
_cell_angle_alpha 90.00
_cell_angle_beta 90.00
_cell_angle_gamma 90.00
loop_
_atom_site_label
_atom_site_type_symbol
_atom_site_fract_x
_atom_site_fract_y
_atom_site_fract_z
_atom_site_occupancy
Al1 Al 0.000 0.000 0.000 1
V1 V 0.000 0.253 0.255 1
V2 V 0.249 0.500 0.500 1
V3 V 0.258 0.500 0.000 1
V4 V 0.500 0.000 0.128 1
V5 V 0.500 0.000 0.374 1
Si1 Si 0.000 0.000 0.500 1
Si2 Si 0.500 0.500 0.252 1
```

Output
Energy of formation from the pure elements in meV per atom: -410
E in eV per cell: -208.7

---

KGaTe2 after structural relaxation. Source: the Materials Project, functional meta-GGA r2SCAN.

CIF file:
```
data_KGaTe2
_chemical_formula_sum 'K16 Ga16 Te32'
_symmetry_space_group_name_H-M 'C 1 2/c 1'
_symmetry_Int_Tables_number 15
_symmetry_space_group_name_Hall '-C 2yc'
_cell_length_a 11.875
_cell_length_b 11.889
_cell_length_c 16.650
_cell_angle_alpha 90.00
_cell_angle_beta 100.23
_cell_angle_gamma 90.00
loop_
_atom_site_label
_atom_site_type_symbol
_atom_site_fract_x
_atom_site_fract_y
_atom_site_fract_z
_atom_site_occupancy
K1 K 0.035 0.186 0.392 1
K2 K 0.217 0.437 0.118 1
Ga1 Ga 0.102 0.189 0.663 1
Ga2 Ga 0.146 0.436 0.837 1
Te1 Te 0.000 0.052 0.750 1
Te2 Te 0.000 0.427 0.250 1
Te3 Te 0.047 0.313 0.936 1
Te4 Te 0.205 0.062 0.567 1
Te5 Te 0.239 0.188 0.250 1
```

Output
Energy of formation from the pure elements in meV per atom: -844
E in eV per cell: -1146.8